Na2Ti7O15 (PBE, optimized geometry); energy above the lowest structure with this stoichiometry = 0 meV per atom; VASP energy = -8.406 eV/atom; ΔH_f (0 K) = -3.330 eV/atom
1.0
7.541 0.000 0.000
-1.885 7.652 0.000
-0.001 -2.185 21.261
Na Ti O
8 28 60
Cartesian
0.943 2.144 6.713
0.941 1.339 19.092
0.941 2.743 10.700
0.941 4.121 2.186
4.714 1.346 19.075
4.714 2.724 10.561
4.715 4.127 2.169
4.712 3.322 14.548
-0.949 4.767 5.469
-0.940 3.904 17.599
-0.939 5.107 8.522
-0.942 4.253 20.696
-0.947 5.627 11.568
-0.944 6.978 2.484
-0.936 6.089 14.610
2.834 -0.635 6.641
2.826 -1.503 18.781
2.821 -0.159 9.677
2.828 1.214 0.568
2.832 0.363 12.729
2.831 1.555 3.662
2.823 0.712 15.791
2.833 4.755 5.470
2.824 3.912 17.599
2.823 5.104 8.533
2.827 4.252 20.694
2.834 5.626 11.584
2.829 6.970 2.480
2.821 6.102 14.620
6.591 -0.623 6.651
6.599 -1.511 18.777
6.602 -0.160 9.693
6.597 1.214 0.565
6.594 0.360 12.739
6.595 1.563 3.662
6.604 0.700 15.792
-0.883 3.171 4.559
-0.842 3.837 7.290
-0.937 2.962 19.409
-0.941 4.264 10.250
-0.943 5.625 1.101
-1.046 4.796 13.179
-0.945 5.820 3.832
-1.005 4.986 15.975
-0.945 6.470 6.862
-0.941 5.627 18.951
0.943 -0.686 9.843
0.943 0.643 0.630
0.944 -0.202 12.717
0.942 1.167 3.440
0.945 0.287 15.563
0.945 5.204 5.680
0.942 4.308 17.795
0.944 5.696 8.561
0.942 4.827 20.631
0.943 6.126 11.455
2.829 -0.159 2.311
2.826 -1.026 14.393
2.766 0.478 5.283
2.724 0.675 8.078
2.825 -0.354 17.428
2.826 -0.153 20.162
2.830 1.202 11.011
2.834 2.504 1.855
2.766 3.168 4.559
2.928 1.628 13.970
2.727 3.839 7.291
2.889 2.299 16.702
2.821 2.962 19.407
2.825 4.265 10.250
2.829 5.620 1.099
2.831 5.820 3.833
2.931 4.791 13.183
2.889 4.989 15.978
2.829 6.493 6.868
2.826 5.625 18.950
4.712 -0.659 9.806
4.713 0.640 0.630
4.711 -0.229 12.700
4.713 1.159 3.467
4.710 0.263 15.581
4.710 5.180 5.698
4.713 4.300 17.821
4.711 5.668 8.544
4.713 4.824 20.631
4.712 6.153 11.418
6.596 -0.160 2.310
6.600 -1.003 14.399
6.660 0.480 5.286
6.601 -0.353 17.429
6.701 0.671 8.082
6.598 -0.158 20.161
6.596 1.202 11.011
6.592 2.505 1.853
6.497 1.630 13.972
6.538 2.296 16.702